A plane-wave DFT calculation with PBE was carried out for an optimized crystal structure of Na6TiZn7S12O48.

Properties
ΔH_f (0 K)	-46.5	kcal/mol of atoms
size of the total moment	0.000	μB per atom
uncorrected energy	-1284.146	eV per cell

abc: 8.7351 15.1269 22.4859
angles: 89.98 89.97 89.94
Last column: nearest neighbours and their distance in Å.
Atoms (fractional coordinates):
Na1 0.0000 0.0000 0.0000  4 O 2.36-2.46
Na2 0.0010 0.3353 0.6670  4 O 2.37-2.44
Na3 0.1821 0.8188 0.4998  4 O 2.37-2.40
Na4 0.3064 0.6487 0.9189  6 O 2.48-2.73
Na5 0.3192 0.3197 0.2490  6 O 2.49-2.55
Na6 0.3242 0.6458 0.4154  6 O 2.48-2.67
Na7 0.3260 0.9916 0.5794  5 O 2.44-2.66
Na8 0.3308 0.3225 0.7519  6 O 2.45-2.68
Na9 0.3326 0.9832 0.0810  6 O 2.46-2.71
Na10 0.6375 0.6666 0.8322  6 O 2.38-2.65
Na11 0.6825 0.3193 0.4997  4 O 2.38-2.41
Na12 0.8053 0.1544 0.9121  6 O 2.47-2.71
Na13 0.8128 0.4943 0.0791  5 O 2.41-2.65
Na14 0.8157 0.5003 0.5836  6 O 2.42-2.68
Na15 0.8186 0.8186 0.2488  6 O 2.51-2.56
Na16 0.8246 0.1455 0.4150  6 O 2.51-2.67
Na17 0.8259 0.8212 0.7465  6 O 2.46-2.60
Na18 0.9552 0.3197 0.9981  4 O 2.37-2.42
Ti1 0.3191 0.9850 0.2318  6 O 1.93-2.01
Ti2 0.3201 0.9853 0.7317  6 O 1.93-2.01
Ti3 0.8192 0.4866 0.2314  6 O 1.93-2.01
Zn1 0.3130 0.6483 0.7628  6 O 1.99-2.21
Zn2 0.3157 0.3192 0.3982  6 O 2.04-2.21
Zn3 0.3189 0.3214 0.8991  6 O 2.04-2.25
Zn4 0.3186 0.6524 0.2647  6 O 2.03-2.13
Zn5 0.3224 0.6522 0.0674  6 O 2.09-2.13
Zn6 0.3219 0.9896 0.4323  6 O 2.02-2.16
Zn7 0.3227 0.3212 0.0987  6 O 2.02-2.17
Zn8 0.3247 0.3206 0.5969  6 O 2.01-2.22
Zn9 0.3246 0.6487 0.5681  6 O 2.00-2.19
Zn10 0.3259 0.9847 0.9324  6 O 2.01-2.16
Zn11 0.8066 0.1527 0.0704  5 O 2.01-2.15
Zn12 0.8122 0.8171 0.5988  6 O 2.02-2.20
Zn13 0.8150 0.4888 0.7344  6 O 2.02-2.19
Zn14 0.8155 0.8191 0.3992  6 O 2.03-2.23
Zn15 0.8172 0.1548 0.7665  6 O 2.02-2.14
Zn16 0.8168 0.8160 0.0986  6 O 2.01-2.19
Zn17 0.8180 0.4893 0.9309  6 O 2.03-2.18
Zn18 0.8187 0.1450 0.5679  6 O 2.04-2.21
Zn19 0.8191 0.1527 0.2653  6 O 2.03-2.12
Zn20 0.8225 0.4902 0.4324  6 O 2.01-2.17
Zn21 0.8253 0.8184 0.9019  5 O 2.01-2.24
S1 0.0232 0.3185 0.5001  4 O 1.47-1.50
S2 0.0236 0.6521 0.1675  4 O 1.46-1.54
S3 0.0269 0.9862 0.8331  4 O 1.47-1.53
S4 0.1110 0.4864 0.3322  4 O 1.47-1.53
S5 0.1147 0.1504 0.6671  4 O 1.47-1.52
S6 0.1163 0.8181 0.9999  4 O 1.47-1.51
S7 0.1706 0.5038 0.6653  4 O 1.47-1.50
S8 0.1706 0.8021 0.6669  4 O 1.46-1.54
S9 0.1722 0.1314 0.3322  4 O 1.47-1.53
S10 0.1726 0.4680 0.9997  4 O 1.47-1.50
S11 0.1731 0.8390 0.3333  4 O 1.47-1.53
S12 0.1741 0.1717 0.0001  4 O 1.47-1.51
S13 0.4644 0.8395 0.8321  4 O 1.47-1.52
S14 0.4652 0.1308 0.8324  4 O 1.46-1.53
S15 0.4649 0.1714 0.4993  4 O 1.47-1.50
S16 0.4659 0.4679 0.4977  4 O 1.48-1.50
S17 0.4662 0.8006 0.1677  4 O 1.46-1.54
S18 0.4679 0.5046 0.1679  4 O 1.46-1.54
S19 0.5206 0.1519 0.1683  4 O 1.46-1.53
S20 0.5218 0.4847 0.8323  4 O 1.48-1.50
S21 0.5236 0.8190 0.4988  4 O 1.47-1.51
S22 0.6114 0.9862 0.3322  4 O 1.47-1.53
S23 0.6130 0.3185 0.9992  4 O 1.47-1.51
S24 0.6165 0.6533 0.6675  4 O 1.47-1.49
S25 0.6691 0.2997 0.6650  4 O 1.47-1.50
S26 0.6688 0.6708 0.9983  4 O 1.47-1.50
S27 0.6703 0.0047 0.6682  4 O 1.47-1.54
S28 0.6710 0.9663 0.9998  4 O 1.47-1.51
S29 0.6717 0.6318 0.3323  4 O 1.47-1.53
S30 0.6737 0.3394 0.3331  4 O 1.47-1.53
S31 0.9638 0.9665 0.4991  4 O 1.48-1.50
S32 0.9663 0.6714 0.4995  4 O 1.48-1.50
S33 0.9673 0.3016 0.1667  4 O 1.47-1.53
S34 0.9682 0.0038 0.1666  4 O 1.47-1.53
S35 0.9677 0.3365 0.8327  4 O 1.49
S36 0.9694 0.6350 0.8331  4 O 1.48-1.51
O1 0.0013 0.4742 0.9945  1 S 1.50
O2 0.0006 0.4919 0.6702  1 S 1.50
O3 0.0019 0.1625 0.0049  1 S 1.51
O4 0.0045 0.8351 0.3334  1 S 1.47
O5 0.0054 0.1400 0.3245  1 S 1.47
O6 0.0045 0.4778 0.2785  1 S 1.53
O7 0.0045 0.8164 0.6621  1 S 1.47
O8 0.0183 0.1659 0.7199  1 S 1.47
O9 0.0179 0.8353 0.0525  1 S 1.49
O10 0.0195 0.4979 0.3863  1 S 1.47
O11 0.0253 0.8068 0.9450  1 S 1.48
O12 0.0255 0.1324 0.6131  1 S 1.47
O13 0.1117 0.3296 0.5560  1 S 1.48
O14 0.1137 0.6336 0.1138  1 S 1.47
O15 0.1163 0.6653 0.2210  1 S 1.46
O16 0.1159 0.9977 0.8886  1 S 1.48
O17 0.1200 0.3072 0.4470  1 S 1.47
O18 0.1337 0.3147 0.1615  1 S 1.47
O19 0.1351 0.9736 0.4944  1 S 1.50
O20 0.1367 0.3271 0.8370  1 S 1.49
O21 0.1366 0.6464 0.8266  1 S 1.48
O22 0.1372 0.6647 0.5049  1 S 1.50
O23 0.1368 0.9778 0.7804  1 S 1.53
O24 0.1412 0.9951 0.1757  1 S 1.53
O25 0.1953 0.4110 0.0530  1 S 1.49
O26 0.1981 0.5571 0.6117  1 S 1.47
O27 0.1987 0.0794 0.3863  1 S 1.47
O28 0.1989 0.2261 0.9464  1 S 1.48
O29 0.2015 0.4036 0.3329  1 S 1.48
O30 0.2022 0.7469 0.7189  1 S 1.46
O31 0.2074 0.5652 0.3250  1 S 1.47
O32 0.2124 0.2300 0.6612  1 S 1.48
O33 0.2116 0.9010 0.9950  1 S 1.51
O34 0.2147 0.7397 0.0064  1 S 1.47
O35 0.2153 0.8983 0.2805  1 S 1.53
O36 0.2170 0.0706 0.6760  1 S 1.52
O37 0.2353 0.5422 0.7200  1 S 1.47
O38 0.2350 0.8781 0.3885  1 S 1.48
O39 0.2373 0.0804 0.9946  1 S 1.49
O40 0.2374 0.2117 0.0542  1 S 1.47
O41 0.2373 0.4125 0.6603  1 S 1.50
O42 0.2374 0.4272 0.9455  1 S 1.48
O43 0.2396 0.0828 0.2786  1 S 1.53
O44 0.2395 0.7689 0.6111  1 S 1.48
O45 0.2407 0.5566 0.0063  1 S 1.47
O46 0.2444 0.7518 0.3255  1 S 1.47
O47 0.2445 0.8934 0.6768  1 S 1.54
O48 0.2498 0.2181 0.3333  1 S 1.48
O49 0.3885 0.2173 0.8328  1 S 1.47
O50 0.3933 0.7655 0.1138  1 S 1.47
O51 0.3930 0.8925 0.1767  1 S 1.54
O52 0.3968 0.0823 0.4938  1 S 1.48
O53 0.3974 0.5566 0.5037  1 S 1.48
O54 0.3982 0.7504 0.8250  1 S 1.48
O55 0.3994 0.0814 0.7788  1 S 1.53
O56 0.3997 0.2117 0.5534  1 S 1.47
O57 0.3999 0.8791 0.8861  1 S 1.47
O58 0.4006 0.4263 0.4438  1 S 1.48
O59 0.4011 0.5448 0.2211  1 S 1.46
O60 0.4053 0.4144 0.1620  1 S 1.48
O61 0.4186 0.2288 0.1619  1 S 1.47
O62 0.4195 0.8983 0.4943  1 S 1.51
O63 0.4203 0.7401 0.5038  1 S 1.50
O64 0.4205 0.0698 0.1767  1 S 1.53
O65 0.4232 0.4057 0.8381  1 S 1.48
O66 0.4264 0.5672 0.8276  1 S 1.50
O67 0.4257 0.8963 0.7784  1 S 1.52
O68 0.4370 0.0792 0.8864  1 S 1.46
O69 0.4392 0.7474 0.2211  1 S 1.46
O70 0.4408 0.2275 0.4457  1 S 1.49
O71 0.4437 0.4122 0.5514  1 S 1.49
O72 0.4513 0.5584 0.1138  1 S 1.47
O73 0.4962 0.9953 0.6773  1 S 1.54
O74 0.5001 0.6622 0.0042  1 S 1.49
O75 0.5018 0.3099 0.6598  1 S 1.47
O76 0.5034 0.9776 0.9940  1 S 1.48
O77 0.5048 0.3347 0.3334  1 S 1.48
O78 0.5052 0.6404 0.3246  1 S 1.47
O79 0.5047 0.9777 0.2784  1 S 1.53
O80 0.5190 0.6420 0.6145  1 S 1.47
O81 0.5196 0.9983 0.3863  1 S 1.47
O82 0.5207 0.3054 0.9452  1 S 1.47
O83 0.5228 0.3299 0.0538  1 S 1.47
O84 0.5261 0.6648 0.7234  1 S 1.49
O85 0.6087 0.1322 0.1138  1 S 1.48
O86 0.6149 0.4727 0.7781  1 S 1.48
O87 0.6149 0.8069 0.4443  1 S 1.47
O88 0.6152 0.8320 0.5528  1 S 1.47
O89 0.6166 0.1650 0.2209  1 S 1.46
O90 0.6179 0.5006 0.8856  1 S 1.48
O91 0.6324 0.1385 0.8253  1 S 1.47
O92 0.6325 0.8148 0.1616  1 S 1.47
O93 0.6335 0.8328 0.8333  1 S 1.48
O94 0.6358 0.1645 0.5044  1 S 1.50
O95 0.6369 0.4745 0.4927  1 S 1.50
O96 0.6418 0.4951 0.1767  1 S 1.54
O97 0.6842 0.0580 0.6138  1 S 1.47
O98 0.6948 0.7216 0.9420  1 S 1.50
O99 0.6983 0.5796 0.3862  1 S 1.47
O100 0.7004 0.2452 0.7180  1 S 1.48
O101 0.7001 0.9140 0.0538  1 S 1.47
O102 0.7020 0.9040 0.3330  1 S 1.47
O103 0.7079 0.0652 0.3249  1 S 1.47
O104 0.7143 0.5727 0.6712  1 S 1.49
O105 0.7154 0.3983 0.2804  1 S 1.53
O106 0.7146 0.7333 0.6626  1 S 1.49
O107 0.7162 0.3973 0.9943  1 S 1.50
O108 0.7175 0.2391 0.0040  1 S 1.51
O109 0.7338 0.9152 0.6622  1 S 1.47
O110 0.7352 0.3781 0.3885  1 S 1.48
O111 0.7370 0.7137 0.0508  1 S 1.47
O112 0.7377 0.0462 0.7210  1 S 1.47
O113 0.7394 0.5830 0.2785  1 S 1.53
O114 0.7397 0.2602 0.6101  1 S 1.50
O115 0.7407 0.5817 0.9941  1 S 1.49
O116 0.7422 0.9266 0.9458  1 S 1.49
O117 0.7450 0.2519 0.3255  1 S 1.47
O118 0.7454 0.3879 0.6702  1 S 1.50
O119 0.7472 0.0553 0.0047  1 S 1.51
O120 0.7498 0.7182 0.3333  1 S 1.48
O121 0.8914 0.7236 0.8381  1 S 1.51
O122 0.8932 0.3921 0.1758  1 S 1.53
O123 0.8950 0.2475 0.8288  1 S 1.49
O124 0.8959 0.0560 0.5050  1 S 1.48
O125 0.8971 0.5950 0.7797  1 S 1.49
O126 0.8982 0.2671 0.1109  1 S 1.49
O127 0.8978 0.5825 0.4938  1 S 1.48
O128 0.9003 0.0471 0.2186  1 S 1.47
O129 0.8999 0.9266 0.4444  1 S 1.48
O130 0.9014 0.7122 0.5536  1 S 1.48
O131 0.9038 0.3781 0.8874  1 S 1.49
O132 0.9048 0.9141 0.1613  1 S 1.47
O133 0.9197 0.7286 0.1615  1 S 1.48
O134 0.9206 0.2394 0.5040  1 S 1.50
O135 0.9211 0.3978 0.4952  1 S 1.50
O136 0.9218 0.5699 0.1762  1 S 1.54
O137 0.9317 0.0656 0.8252  1 S 1.47
O138 0.9362 0.2460 0.2187  1 S 1.47
O139 0.9362 0.9044 0.8335  1 S 1.47
O140 0.9372 0.3887 0.7778  1 S 1.49
O141 0.9388 0.9106 0.5524  1 S 1.48
O142 0.9422 0.5821 0.8872  1 S 1.48
O143 0.9427 0.7273 0.4457  1 S 1.49
O144 0.9515 0.0562 0.1109  1 S 1.49

=====

A plane-wave DFT calculation with PBE was carried out for an optimized crystal structure of Na2InPCO7.

Properties
ΔH_f (0 K)	-53.4	kcal/mol of atoms
size of the total moment	0.000	μB per atom
uncorrected energy	-155.290	eV per cell

abc: 5.2740 6.8278 9.1395
angles: 90.00 90.43 90.00
Last column: nearest neighbours and their distance in Å.
Atoms (fractional coordinates):
Na1 0.2325 0.0023 0.2209  3 O 2.23-2.41
Na2 0.2325 0.4977 0.2209  3 O 2.23-2.41
Na3 0.7675 0.5023 0.7791  3 O 2.23-2.41
Na4 0.7675 0.9977 0.7791  3 O 2.23-2.41
In1 0.2265 0.2500 0.6404  6 O 2.15-2.26
In2 0.7735 0.7500 0.3596  6 O 2.15-2.26
P1 0.2875 0.7500 0.5786  4 O 1.54-1.58
P2 0.7125 0.2500 0.4214  4 O 1.54-1.58
C1 0.2690 0.2500 0.9303  3 O 1.25-1.34
C2 0.7310 0.7500 0.0697  3 O 1.25-1.34
O1 0.0466 0.2500 0.8644  1 C 1.31
O2 0.1790 0.7500 0.4187  1 P 1.56
O3 0.1982 0.5671 0.6631  1 P 1.54
O4 0.1982 0.9329 0.6631  1 P 1.54
O5 0.2973 0.2500 0.0667  1 C 1.25
O6 0.4140 0.2500 0.4323  1 P 1.58
O7 0.4668 0.2500 0.8398  1 C 1.34
O8 0.5332 0.7500 0.1602  1 C 1.34
O9 0.5860 0.7500 0.5677  1 P 1.58
O10 0.7027 0.7500 0.9333  1 C 1.25
O11 0.8018 0.0671 0.3369  1 P 1.54
O12 0.8018 0.4329 0.3369  1 P 1.54
O13 0.8210 0.2500 0.5813  1 P 1.56
O14 0.9534 0.7500 0.1356  1 C 1.31

=====

A plane-wave DFT calculation with PBE was carried out for an optimized crystal structure of TmSbRh.

Properties
ΔH_f (0 K)	-22.6	kcal/mol of atoms
uncorrected energy	-75.636	eV per cell

abc: 7.0949 4.5513 7.8097
angles: 90.00 90.00 90.00
Last column: nearest neighbours and their distance in Å.
Atoms (fractional coordinates):
Tm1 0.0095 0.2500 0.1984  6 Rh 3.00-3.35, 6 Sb 3.14-3.33
Tm2 0.4905 0.7500 0.6984  6 Rh 3.00-3.35, 6 Sb 3.14-3.33
Tm3 0.5095 0.2500 0.3016  6 Rh 3.00-3.35, 6 Sb 3.14-3.33
Tm4 0.9905 0.7500 0.8016  6 Rh 3.00-3.35, 6 Sb 3.14-3.33
Sb1 0.1894 0.2500 0.5918  4 Rh 2.65-2.78
Sb2 0.3106 0.7500 0.0918  4 Rh 2.65-2.78
Sb3 0.6894 0.2500 0.9082  4 Rh 2.65-2.78
Sb4 0.8106 0.7500 0.4082  4 Rh 2.65-2.78
Rh1 0.2021 0.7500 0.4182  4 Sb 2.65-2.78
Rh2 0.2979 0.2500 0.9182  4 Sb 2.65-2.78
Rh3 0.7021 0.7500 0.0818  4 Sb 2.65-2.78
Rh4 0.7979 0.2500 0.5818  4 Sb 2.65-2.78